The following is a GGA+U calculation of a relaxed structure of Li2Cr3CuO8, from the Materials Project.

abc: 8.383 8.352 8.357
angles: 89.66 89.72 89.87
Fractional coordinates of all 56 atoms:
Li 0.003 0.003 0.001
Li 0.250 0.247 0.249
Li 0.249 0.750 0.750
Li 0.501 0.002 0.501
Li 0.503 0.500 0.000
Li 0.747 0.250 0.753
Li 0.749 0.746 0.251
Li 0.000 0.503 0.499
Cr 0.122 0.127 0.626
Cr 0.127 0.375 0.878
Cr 0.129 0.621 0.125
Cr 0.375 0.373 0.627
Cr 0.375 0.625 0.375
Cr 0.376 0.875 0.128
Cr 0.624 0.374 0.375
Cr 0.624 0.126 0.124
Cr 0.626 0.876 0.875
Cr 0.874 0.124 0.373
Cr 0.873 0.876 0.624
Cr 0.873 0.625 0.877
Cu 0.125 0.876 0.374
Cu 0.376 0.126 0.875
Cu 0.623 0.626 0.625
Cu 0.875 0.373 0.124
O 0.102 0.119 0.388
O 0.103 0.887 0.616
O 0.112 0.606 0.883
O 0.137 0.146 0.865
O 0.126 0.383 0.103
O 0.135 0.368 0.644
O 0.147 0.636 0.364
O 0.148 0.860 0.128
O 0.359 0.146 0.628
O 0.363 0.373 0.855
O 0.369 0.636 0.145
O 0.379 0.608 0.607
O 0.372 0.861 0.358
O 0.385 0.385 0.394
O 0.388 0.109 0.116
O 0.392 0.880 0.894
O 0.610 0.385 0.613
O 0.603 0.611 0.382
O 0.608 0.884 0.114
O 0.628 0.359 0.140
O 0.617 0.103 0.888
O 0.646 0.133 0.363
O 0.644 0.872 0.640
O 0.634 0.647 0.865
O 0.867 0.358 0.355
O 0.864 0.141 0.136
O 0.857 0.868 0.864
O 0.881 0.893 0.387
O 0.867 0.647 0.638
O 0.881 0.109 0.611
O 0.888 0.385 0.895
O 0.890 0.605 0.115

Calculated values
- DFT formation energy (eV/atom) = -1.97
- excess energy over the best structure of this formula in the dataset (eV/atom) = 0.0000
- total magnetization (μB/f.u.) = 5.5



The following is a GGA+U calculation of a relaxed structure of Li4Cr2Cu3Sb3O16, from the Materials Project.

abc: 6.105 6.017 9.633
angles: 89.99 88.29 119.57
Fractional coordinates of all 28 atoms:
Li 0.339 0.670 0.904
Li 0.011 0.005 0.005
Li 0.065 0.033 0.480
Li 0.680 0.340 0.385
Cr 0.316 0.658 0.478
Cr 0.643 0.322 0.996
Cu 0.166 0.830 0.212
Cu 0.166 0.337 0.212
Cu 0.337 0.168 0.720
Sb 0.653 0.826 0.216
Sb 0.831 0.663 0.713
Sb 0.830 0.168 0.713
O 0.154 0.833 0.602
O 0.049 0.525 0.344
O 0.336 0.668 0.109
O 0.988 0.994 0.302
O 0.971 0.985 0.821
O 0.154 0.321 0.602
O 0.494 0.966 0.352
O 0.492 0.527 0.352
O 0.320 0.160 0.091
O 0.683 0.841 0.600
O 0.525 0.487 0.839
O 0.525 0.038 0.839
O 0.697 0.349 0.596
O 0.807 0.661 0.094
O 0.962 0.481 0.840
O 0.807 0.146 0.094

Calculated values
- DFT formation energy (eV/atom) = -1.81
- total magnetization (μB/f.u.) = 8.6



The following is a GGA+U calculation of a relaxed structure of Li4Cr3Cu3Sb2O16, from the Materials Project.

abc: 5.953 5.953 9.627
angles: 89.05 89.05 59.76
Fractional coordinates of all 28 atoms:
Li 0.665 0.665 0.903
Li 0.000 0.000 0.993
Li 0.001 0.001 0.490
Li 0.337 0.337 0.402
Cr 0.830 0.830 0.215
Cr 0.659 0.169 0.714
Cr 0.169 0.659 0.714
Cu 0.832 0.340 0.213
Cu 0.340 0.832 0.213
Cu 0.170 0.170 0.715
Sb 0.666 0.666 0.489
Sb 0.331 0.331 0.988
O 0.834 0.327 0.593
O 0.522 0.522 0.344
O 0.669 0.669 0.112
O 0.000 0.000 0.302
O 0.996 0.996 0.806
O 0.327 0.834 0.593
O 0.967 0.522 0.347
O 0.522 0.967 0.347
O 0.161 0.161 0.092
O 0.833 0.833 0.597
O 0.483 0.035 0.844
O 0.035 0.483 0.844
O 0.338 0.338 0.608
O 0.665 0.161 0.094
O 0.481 0.481 0.842
O 0.161 0.665 0.094

Calculated values
- DFT formation energy (eV/atom) = -1.87
- total magnetization (μB/f.u.) = 9.9



The following is a GGA+U calculation of a relaxed structure of Li4Cr3Cu2Sb3O16, from the Materials Project.

abc: 6.069 6.113 9.920
angles: 90.02 89.59 120.24
Fractional coordinates of all 28 atoms:
Li 0.338 0.669 0.899
Li 0.022 0.011 0.003
Li 0.020 0.010 0.492
Li 0.674 0.337 0.377
Cr 0.174 0.834 0.215
Cr 0.173 0.340 0.215
Cr 0.331 0.166 0.715
Cu 0.309 0.655 0.478
Cu 0.655 0.327 0.028
Sb 0.665 0.833 0.216
Sb 0.824 0.660 0.716
Sb 0.824 0.165 0.716
O 0.143 0.836 0.606
O 0.040 0.520 0.328
O 0.341 0.670 0.106
O 0.002 0.001 0.313
O 0.994 0.997 0.820
O 0.143 0.306 0.606
O 0.490 0.970 0.332
O 0.490 0.520 0.331
O 0.319 0.159 0.108
O 0.685 0.843 0.602
O 0.511 0.487 0.824
O 0.511 0.024 0.824
O 0.663 0.331 0.603
O 0.845 0.692 0.103
O 0.969 0.485 0.829
O 0.845 0.153 0.103

Calculated values
- DFT formation energy (eV/atom) = -1.95
- total magnetization (μB/f.u.) = 8.7



The following is a GGA+U calculation of a relaxed structure of Li2V4CrCuO12, from the Materials Project.

abc: 6.924 6.924 5.650
angles: 72.23 107.77 103.46
Fractional coordinates of all 20 atoms:
Li 0.265 0.265 0.250
Li 0.718 0.718 0.750
V 0.165 0.614 0.708
V 0.378 0.817 0.233
V 0.614 0.165 0.792
V 0.817 0.378 0.267
Cr 0.073 0.073 0.750
Cu 0.893 0.892 0.250
O 0.000 0.798 0.669
O 0.116 0.348 0.815
O 0.194 0.982 0.132
O 0.409 0.710 0.570
O 0.348 0.116 0.685
O 0.316 0.629 0.064
O 0.709 0.409 0.930
O 0.603 0.972 0.171
O 0.629 0.316 0.436
O 0.798 0.000 0.831
O 0.972 0.603 0.329
O 0.981 0.194 0.368

Calculated values
- DFT formation energy (eV/atom) = -2.25
- excess energy over the best structure of this formula in the dataset (eV/atom) = 0.0000
- total magnetization (μB/f.u.) = 5.0



The following is a GGA+U calculation of a relaxed structure of Li2V4CrCuO12, from the Materials Project.

abc: 6.874 6.874 5.813
angles: 74.28 74.28 82.58
Fractional coordinates of all 20 atoms:
Li 0.765 0.235 0.000
Li 0.250 0.750 0.500
V 0.805 0.606 0.517
V 0.609 0.800 0.012
V 0.394 0.195 0.483
V 0.200 0.391 0.988
Cr 0.917 0.083 0.500
Cu 0.098 0.902 0.000
O 0.977 0.804 0.417
O 0.900 0.354 0.581
O 0.792 0.983 0.876
O 0.631 0.658 0.308
O 0.646 0.100 0.419
O 0.635 0.633 0.819
O 0.342 0.369 0.692
O 0.370 0.910 0.063
O 0.367 0.365 0.181
O 0.196 0.023 0.583
O 0.090 0.630 0.937
O 0.017 0.208 0.124

Calculated values
- DFT formation energy (eV/atom) = -2.22
- excess energy over the best structure of this formula in the dataset (eV/atom) = 0.0333
- total magnetization (μB/f.u.) = 5.0



The following is a GGA+U calculation of a relaxed structure of Li4V3Cr3Cu2O16, from the Materials Project.

abc: 5.839 5.845 9.751
angles: 92.67 90.62 119.35
Fractional coordinates of all 28 atoms:
Li 0.317 0.656 0.098
Li 0.018 0.033 0.005
Li 0.024 0.015 0.507
Li 0.647 0.324 0.605
V 0.791 0.642 0.273
V 0.140 0.815 0.789
V 0.328 0.117 0.297
Cr 0.656 0.848 0.783
Cr 0.171 0.344 0.787
Cr 0.850 0.179 0.287
Cu 0.351 0.663 0.517
Cu 0.672 0.333 0.999
O 0.705 0.842 0.392
O 0.473 0.515 0.667
O 0.331 0.694 0.894
O 0.995 0.991 0.688
O 0.010 0.985 0.189
O 0.194 0.322 0.395
O 0.456 0.957 0.661
O 0.015 0.519 0.674
O 0.849 0.176 0.898
O 0.183 0.844 0.397
O 0.962 0.479 0.168
O 0.500 0.018 0.180
O 0.669 0.346 0.392
O 0.857 0.704 0.894
O 0.512 0.479 0.162
O 0.327 0.160 0.894

Calculated values
- DFT formation energy (eV/atom) = -2.10
- total magnetization (μB/f.u.) = 9.0



The following is a GGA+U calculation of a relaxed structure of Li4Cr3Cu3W2O16, from the Materials Project.

abc: 5.963 5.886 9.788
angles: 89.97 87.23 119.56
Fractional coordinates of all 28 atoms:
Li 0.327 0.664 0.909
Li 0.995 0.997 0.989
Li 0.008 0.004 0.483
Li 0.690 0.345 0.412
Cr 0.659 0.829 0.216
Cr 0.828 0.660 0.714
Cr 0.828 0.167 0.714
Cu 0.167 0.830 0.212
Cu 0.168 0.338 0.212
Cu 0.335 0.168 0.712
W 0.355 0.678 0.487
W 0.653 0.326 0.985
O 0.163 0.819 0.585
O 0.065 0.533 0.351
O 0.333 0.666 0.119
O 0.999 0.000 0.295
O 0.999 0.000 0.803
O 0.163 0.343 0.585
O 0.522 0.978 0.361
O 0.522 0.544 0.361
O 0.320 0.160 0.084
O 0.660 0.830 0.602
O 0.521 0.487 0.848
O 0.521 0.035 0.848
O 0.665 0.333 0.615
O 0.789 0.641 0.082
O 0.957 0.478 0.841
O 0.789 0.148 0.082

Calculated values
- DFT formation energy (eV/atom) = -1.97
- total magnetization (μB/f.u.) = 10.6



The following is a GGA+U calculation of a relaxed structure of MgCr4Cu3O12, from the Materials Project.

abc: 7.345 7.342 7.342
angles: 90.07 89.88 90.12
Fractional coordinates of all 40 atoms:
Mg 0.000 0.000 0.000
Mg 0.500 0.500 0.500
Cr 0.750 0.750 0.750
Cr 0.750 0.250 0.250
Cr 0.750 0.250 0.750
Cr 0.250 0.250 0.750
Cr 0.250 0.250 0.250
Cr 0.250 0.750 0.750
Cr 0.250 0.750 0.250
Cr 0.750 0.750 0.250
Cu 0.500 0.000 0.500
Cu 0.000 0.500 0.500
Cu 0.500 0.500 0.000
Cu 0.000 0.500 0.000
Cu 0.500 0.000 0.000
Cu 0.000 0.000 0.500
O 0.808 0.500 0.332
O 0.308 0.000 0.832
O 0.692 0.000 0.168
O 0.192 0.500 0.668
O 0.191 0.499 0.331
O 0.691 0.999 0.831
O 0.169 0.691 0.000
O 0.669 0.191 0.500
O 0.000 0.831 0.308
O 0.499 0.331 0.808
O 0.500 0.669 0.808
O 0.000 0.169 0.308
O 0.168 0.308 0.000
O 0.668 0.808 0.500
O 0.500 0.669 0.192
O 0.001 0.169 0.692
O 0.309 0.001 0.169
O 0.809 0.501 0.669
O 0.331 0.809 0.500
O 0.831 0.309 0.000
O 0.000 0.831 0.692
O 0.500 0.331 0.192
O 0.332 0.192 0.500
O 0.832 0.692 0.000

Calculated values
- DFT formation energy (eV/atom) = -1.78
- total magnetization (μB/f.u.) = 0.0



The following is a GGA+U calculation of a relaxed structure of Mg14CrCuO16, from the Materials Project.

abc: 8.553 8.553 4.248
angles: 90.00 90.00 90.00
Fractional coordinates of all 32 atoms:
Mg 0.000 0.500 0.000
Mg 0.500 0.000 0.000
Mg 0.000 0.247 0.500
Mg 0.000 0.753 0.500
Mg 0.500 0.247 0.500
Mg 0.500 0.753 0.500
Mg 0.247 0.000 0.500
Mg 0.247 0.500 0.500
Mg 0.753 0.000 0.500
Mg 0.753 0.500 0.500
Mg 0.245 0.245 0.000
Mg 0.245 0.755 0.000
Mg 0.755 0.245 0.000
Mg 0.755 0.755 0.000
Cr 0.500 0.500 0.000
Cu 0.000 0.000 0.000
O 0.263 0.000 0.000
O 0.257 0.500 0.000
O 0.737 0.000 0.000
O 0.743 0.500 0.000
O 0.251 0.251 0.500
O 0.251 0.749 0.500
O 0.749 0.251 0.500
O 0.749 0.749 0.500
O 0.000 0.000 0.500
O 0.000 0.500 0.500
O 0.500 0.000 0.500
O 0.500 0.500 0.500
O 0.000 0.263 0.000
O 0.000 0.737 0.000
O 0.500 0.257 0.000
O 0.500 0.743 0.000

Calculated values
- DFT formation energy (eV/atom) = -2.84
- excess energy over the best structure of this formula in the dataset (eV/atom) = 0.0056
- total magnetization (μB/f.u.) = 3.7



The following is a GGA+U calculation of a relaxed structure of MgCr4Cu2O8, from the Materials Project.

abc: 6.062 6.063 6.216
angles: 91.23 118.49 119.28
Fractional coordinates of all 15 atoms:
Mg 0.713 0.838 0.625
Cr 0.229 0.855 0.621
Cr 0.734 0.358 0.629
Cr 0.748 0.373 0.125
Cr 0.235 0.360 0.625
Cu 0.483 0.826 0.138
Cu 0.188 0.095 0.112
O 0.221 0.600 0.400
O 0.777 0.149 0.407
O 0.700 0.571 0.850
O 0.242 0.120 0.843
O 0.769 0.605 0.406
O 0.187 0.584 0.812
O 0.272 0.125 0.438
O 0.700 0.113 0.844

Calculated values
- DFT formation energy (eV/atom) = -1.97
- excess energy over the best structure of this formula in the dataset (eV/atom) = 0.0000
- total magnetization (μB/f.u.) = 12.0



The following is a GGA+U calculation of a relaxed structure of MgCr4Cu2O8, from the Materials Project.

abc: 6.387 6.409 6.408
angles: 95.25 117.10 117.14
Fractional coordinates of all 15 atoms:
Mg 0.500 0.250 0.750
Cr 0.211 0.829 0.620
Cr 0.790 0.409 0.618
Cr 0.790 0.380 0.171
Cr 0.210 0.382 0.590
Cu 0.500 0.750 0.250
Cu 0.000 0.000 0.000
O 0.210 0.597 0.388
O 0.790 0.178 0.388
O 0.737 0.598 0.860
O 0.264 0.124 0.862
O 0.791 0.612 0.403
O 0.210 0.612 0.821
O 0.264 0.140 0.402
O 0.736 0.138 0.876

Calculated values
- DFT formation energy (eV/atom) = -1.35
- excess energy over the best structure of this formula in the dataset (eV/atom) = 0.6208
- total magnetization (μB/f.u.) = 12.0



Q: Look up the DFT formation energy of the eleventh one.
A: -1.97 eV/atom